# Na11Ti8P12O48 (PBE, relaxed)
data_Na11Ti8P12O48
_symmetry_space_group_name_H-M 'P 1'
_symmetry_Int_Tables_number 1
_cell_length_a 8.882
_cell_length_b 9.088
_cell_length_c 12.599
_cell_angle_alpha 89.82
_cell_angle_beta 89.88
_cell_angle_gamma 89.75
loop_
_symmetry_equiv_pos_as_xyz
'x,y,z'
loop_
_atom_site_label
_atom_site_type_symbol
_atom_site_fract_x
_atom_site_fract_y
_atom_site_fract_z
Na1 Na 0.000 0.000 0.000
Na2 Na 0.010 0.080 0.659
Na3 Na 0.159 0.753 0.520
Na4 Na 0.288 0.820 0.138
Na5 Na 0.397 0.499 0.002
Na6 Na 0.449 0.571 0.656
Na7 Na 0.510 0.070 0.504
Na8 Na 0.553 0.001 0.154
Na9 Na 0.662 0.317 0.020
Na10 Na 0.892 0.560 0.515
Na11 Na 0.951 0.495 0.159
Ti1 Ti 0.464 0.319 0.229
Ti2 Ti 0.475 0.245 0.723
Ti3 Ti 0.483 0.821 0.931
Ti4 Ti 0.484 0.742 0.434
Ti5 Ti 0.964 0.824 0.225
Ti6 Ti 0.965 0.749 0.726
Ti7 Ti 0.980 0.248 0.437
Ti8 Ti 0.985 0.325 0.930
P1 P 0.111 0.679 0.974
P2 P 0.118 0.398 0.678
P3 P 0.190 0.535 0.330
P4 P 0.256 0.033 0.331
P5 P 0.334 0.894 0.683
P6 P 0.337 0.170 0.978
P7 P 0.612 0.387 0.477
P8 P 0.613 0.670 0.179
P9 P 0.692 0.534 0.828
P10 P 0.754 0.038 0.829
P11 P 0.834 0.894 0.478
P12 P 0.840 0.180 0.185
O1 O 0.038 0.732 0.871
O2 O 0.047 0.774 0.067
O3 O 0.048 0.302 0.590
O4 O 0.052 0.341 0.786
O5 O 0.077 0.564 0.659
O6 O 0.078 0.446 0.399
O7 O 0.085 0.512 0.994
O8 O 0.096 0.643 0.260
O9 O 0.152 0.946 0.255
O10 O 0.160 0.876 0.685
O11 O 0.164 0.131 0.408
O12 O 0.164 0.191 0.978
O13 O 0.281 0.437 0.251
O14 O 0.283 0.707 0.972
O15 O 0.291 0.379 0.683
O16 O 0.295 0.620 0.405
O17 O 0.354 0.927 0.399
O18 O 0.366 0.124 0.260
O19 O 0.372 0.058 0.663
O20 O 0.375 0.005 0.001
O21 O 0.396 0.795 0.591
O22 O 0.403 0.223 0.871
O23 O 0.404 0.836 0.787
O24 O 0.413 0.268 0.064
O25 O 0.537 0.336 0.373
O26 O 0.537 0.769 0.093
O27 O 0.541 0.298 0.569
O28 O 0.547 0.726 0.286
O29 O 0.572 0.506 0.158
O30 O 0.585 0.628 0.899
O31 O 0.589 0.556 0.494
O32 O 0.590 0.430 0.765
O33 O 0.655 0.126 0.750
O34 O 0.661 0.946 0.909
O35 O 0.662 0.873 0.479
O36 O 0.667 0.207 0.188
O37 O 0.783 0.355 0.471
O38 O 0.783 0.628 0.749
O39 O 0.786 0.689 0.178
O40 O 0.797 0.447 0.905
O41 O 0.854 0.142 0.895
O42 O 0.860 0.938 0.763
O43 O 0.864 0.012 0.165
O44 O 0.876 0.057 0.495
O45 O 0.899 0.835 0.371
O46 O 0.901 0.272 0.090
O47 O 0.910 0.797 0.565
O48 O 0.914 0.233 0.287
# **Magnetic moment**: 7.1 μB/f.u.
# **MP2020-corrected energy**: -7.641 eV per atom
# **DFT formation energy**: -2828.5 meV/atom